Entry 1:
An optimized crystal structure of NbBr3O. Source: the Materials Project, functional GGA-PBE.

Output
electronic total energy = -5.354 eV per atom
energy of formation = -723 kJ/mol of formula units

The structure in extended XYZ format:
```
20
Lattice="-2.988 0.865 2.479 -3.082 9.395 -6.989 -7.305 -7.194 -6.449" Properties=species:S:1:pos:R:3 pbc="T T T"
Br -4.622 4.830 -4.103
Br -8.753 -1.765 -6.856
Nb -4.104 1.088 0.682
Br -3.511 7.730 -6.931
Nb -6.331 3.629 -5.408
Br -6.432 -2.257 -3.868
Br -6.942 5.323 -7.090
Br -5.639 1.310 -4.133
Nb -9.270 1.977 -11.641
Br -8.639 -0.116 -10.505
Br -2.696 -1.376 -2.806
O -8.642 0.027 -4.200
Br -9.864 -4.664 -4.027
O -10.702 2.384 -10.611
Br -10.679 4.441 -8.152
Nb -7.043 -0.564 -5.550
Br -4.736 3.182 -0.453
Br -7.735 1.755 -6.825
O -4.732 3.038 -6.759
O -2.672 0.681 -0.347
```

=====

Entry 2:
An optimized crystal structure of LiAlSiH2O5. Source: the Materials Project, functional GGA-PBE.

Output
electronic total energy = -6.536 eV per atom
energy of formation = -2527 kJ/mol of formula units
maximum piezoelectric response = 0.60 C/m²
energy above the lowest structure with this stoichiometry = 0.000 eV/atom

The structure in extended XYZ format:
```
40
Lattice="-0.501 -1.406 4.790 -1.647 -7.746 -2.446 10.119 -2.276 0.391" Properties=species:S:1:pos:R:3 pbc="T T T"
O 5.690 -8.628 1.405
H 3.362 -8.775 -1.915
O 3.491 -8.608 -0.944
O 1.614 -1.546 2.839
Si 2.859 -4.041 0.445
O 4.498 -2.768 3.503
O 5.963 -6.021 1.980
Li 5.396 -8.268 -0.501
H 5.068 -3.552 3.395
H 4.800 -2.114 2.818
O 4.474 -4.108 0.328
H -0.294 -3.838 2.750
O 0.750 -6.926 1.388
O 7.334 -4.181 0.255
Li 7.392 -5.418 3.172
Al 1.381 -1.314 1.094
O 6.513 -9.444 -1.594
Si 5.108 -7.396 2.323
Al 5.868 -5.146 0.439
O 2.302 -4.572 1.906
H 8.271 -7.571 -0.077
H 9.170 -6.396 -0.609
Si -0.351 -8.137 1.535
Al 2.099 -6.292 2.335
O 2.395 -2.479 0.238
H 2.909 -7.857 -0.722
Al 6.585 -10.125 1.680
Li 0.570 -6.035 -0.351
O 8.293 -9.784 1.689
Si 8.318 -3.300 1.234
O 7.831 -3.503 2.798
O -0.275 -1.510 0.594
Li 2.565 -3.185 3.322
H -1.008 -4.494 1.512
O 0.318 -7.425 -1.766
O 8.996 -6.547 2.864
O -1.007 -4.829 -0.305
O 2.163 -4.968 -0.736
O 5.847 -6.355 -0.874
O 3.544 -7.186 1.955
```

=====

Entry 3:
An optimized crystal structure of ErRu3. Source: the Materials Project, functional GGA-PBE.

Output
electronic total energy = -7.979 eV per atom
energy of formation = 46 kJ/mol of formula units

The structure in extended XYZ format:
```
4
Lattice="4.030 0.000 0.000 0.000 4.030 0.000 0.000 0.000 4.030" Properties=species:S:1:pos:R:3 pbc="T T T"
Ru 0.000 2.015 2.015
Er 0.000 0.000 0.000
Ru 2.015 0.000 2.015
Ru 2.015 2.015 0.000
```

=====

Entry 4:
An optimized crystal structure of K3CaP2O8. Source: the Materials Project, functional GGA-PBE.

Output
electronic total energy = -6.336 eV per atom
energy of formation = -3710 kJ/mol of formula units

The structure in extended XYZ format:
```
14
Lattice="-2.357 -4.862 2.157 2.991 -4.990 0.010 2.798 1.191 6.899" Properties=species:S:1:pos:R:3 pbc="T T T"
O 3.081 -5.147 7.982
P 0.916 -3.066 2.464
K 2.170 -2.438 5.550
K 0.000 0.000 0.000
O 3.437 -5.097 5.456
O 2.351 -3.620 2.663
Ca 1.399 0.596 3.449
O 0.351 -3.513 1.084
P 2.516 -5.594 6.602
O 1.081 -5.041 6.402
O -0.005 -3.563 3.609
K 1.262 -6.223 3.516
O 2.487 -7.152 6.622
O 0.945 -1.508 2.443
```

=====

Entry 5:
An optimized crystal structure of ScZn2Pt. Source: the Materials Project, functional GGA-PBE.

Output
electronic total energy = -4.399 eV per atom
energy of formation = -258 kJ/mol of formula units

The structure in extended XYZ format:
```
4
Lattice="-3.302 -2.796 1.104 -0.983 -0.707 4.298 -3.801 1.599 1.713" Properties=species:S:1:pos:R:3 pbc="T T T"
Pt -4.043 -0.952 3.558
Zn -6.065 -1.428 5.337
Sc 0.000 0.000 0.000
Zn -2.022 -0.476 1.779
```

=====

Entry 6:
An optimized crystal structure of TiTl2S4. Source: the Materials Project, functional GGA-PBE.

Output
electronic total energy = -4.887 eV per atom
energy of formation = -681 kJ/mol of formula units

The structure in extended XYZ format:
```
56
Lattice="6.493 0.000 0.000 0.000 9.588 0.000 0.000 0.000 23.115" Properties=species:S:1:pos:R:3 pbc="T T T"
Ti 3.486 1.704 20.179
S 5.443 6.557 12.989
S 3.924 5.160 9.527
Ti 0.239 3.090 20.179
S 4.296 1.764 10.126
S 2.728 0.637 3.716
Ti 0.239 7.884 14.493
S 1.050 7.824 1.432
S 1.050 3.030 10.126
Tl 5.363 3.472 12.474
Tl 5.363 8.266 22.198
S 4.296 6.557 1.432
Tl 5.822 5.455 6.919
S 5.815 0.367 13.588
Tl 1.129 1.322 0.917
S 4.679 2.591 6.996
S 5.815 5.160 21.084
Tl 2.117 1.322 12.474
Tl 2.576 4.133 4.639
S 0.519 5.430 19.399
Ti 6.253 6.498 2.936
Tl 2.576 8.926 6.919
Tl 0.670 8.926 18.477
S 5.060 7.385 16.119
S 5.443 1.764 21.683
S 1.813 6.996 16.119
S 2.196 3.030 21.683
Tl 1.129 6.116 10.641
Tl 3.917 0.661 16.196
S 3.765 4.157 15.274
S 2.569 9.221 21.084
S 4.679 7.385 4.562
Tl 2.117 6.116 22.198
S 5.974 4.157 3.716
S 5.060 2.591 18.553
S 3.924 0.367 2.031
S 2.728 5.430 7.841
S 1.433 6.996 4.562
S 1.813 2.203 18.553
S 2.196 7.824 12.989
S 0.678 9.221 9.527
Ti 6.253 1.704 8.622
S 3.765 8.951 19.399
Ti 3.007 3.090 8.622
Tl 0.670 4.133 16.196
Tl 4.376 8.266 10.641
S 1.433 2.203 6.996
Tl 3.917 5.455 18.477
S 5.974 8.951 7.841
Ti 3.007 7.884 2.936
S 0.519 0.637 15.274
Ti 3.486 6.498 14.493
S 2.569 4.427 13.588
S 0.678 4.427 2.031
Tl 5.822 0.661 4.639
Tl 4.376 3.472 0.917
```

=====

- What is the formula in the first record?
  NbBr3O